Below is MgFe2O4 after structural relaxation, with properties calculated at the GGA+U level.

Results
**Calculated formation energy**: -45.23 kcal/mol of atoms
**Space-group type**: No. 2
**Relative energy among the computed polymorphs**: 0.140 eV per atom
**Total energy after the MP2020 corrections**: -7.437 eV/atom

```
MgFe2O4
1.0
2.927 0.000 0.000
1.443 7.527 0.000
1.422 2.405 7.577
Mg Fe O
2 4 8
direct
0.194 0.289 0.330 Mg
0.806 0.711 0.670 Mg
0.098 0.095 0.701 Fe
0.341 0.320 0.980 Fe
0.659 0.680 0.020 Fe
0.902 0.905 0.299 Fe
0.064 0.739 0.157 O
0.272 0.597 0.857 O
0.358 0.795 0.484 O
0.359 0.085 0.202 O
0.641 0.915 0.798 O
0.642 0.205 0.516 O
0.728 0.403 0.143 O
0.936 0.261 0.843 O
```


Below is MgFe2O4 after structural relaxation, with properties calculated at the GGA+U level.

Results
**Calculated formation energy**: -46.74 kcal/mol of atoms
**Space-group type**: No. 91
**Relative energy among the computed polymorphs**: 0.074 eV per atom
**Total energy after the MP2020 corrections**: -7.503 eV/atom

```
MgFe2O4
1.0
5.912 0.000 0.000
0.000 5.912 0.000
0.000 0.000 8.366
Mg Fe O
4 8 16
direct
0.000 0.252 0.000 Mg
0.000 0.748 0.500 Mg
0.252 0.000 0.750 Mg
0.748 0.000 0.250 Mg
0.251 0.251 0.375 Fe
0.251 0.749 0.125 Fe
0.252 0.500 0.750 Fe
0.500 0.252 0.000 Fe
0.500 0.748 0.500 Fe
0.748 0.500 0.250 Fe
0.749 0.251 0.625 Fe
0.749 0.749 0.875 Fe
0.019 0.262 0.750 O
0.019 0.738 0.750 O
0.262 0.019 0.000 O
0.262 0.486 0.987 O
0.262 0.514 0.513 O
0.262 0.981 0.500 O
0.486 0.262 0.763 O
0.486 0.738 0.737 O
0.514 0.262 0.237 O
0.514 0.738 0.263 O
0.738 0.019 0.000 O
0.738 0.486 0.013 O
0.738 0.514 0.487 O
0.738 0.981 0.500 O
0.981 0.262 0.250 O
0.981 0.738 0.250 O
```


Below is Mg2Fe2O5 after structural relaxation, with properties calculated at the GGA+U level.

Results
**Calculated formation energy**: -50.56 kcal/mol of atoms
**Space-group type**: No. 1
**Relative energy among the computed polymorphs**: 0.000 eV per atom
**Total energy after the MP2020 corrections**: -7.179 eV/atom

```
Mg2Fe2O5
1.0
5.993 0.000 0.000
-2.973 5.381 0.000
-0.083 -3.076 24.551
Mg Fe O
16 16 40
direct
0.000 0.000 0.000 Mg
0.000 0.497 0.000 Mg
0.001 0.505 0.502 Mg
0.100 0.694 0.300 Mg
0.205 0.912 0.602 Mg
0.207 0.421 0.608 Mg
0.394 0.283 0.199 Mg
0.394 0.779 0.194 Mg
0.397 0.299 0.703 Mg
0.503 0.508 0.502 Mg
0.599 0.699 0.801 Mg
0.600 0.202 0.801 Mg
0.601 0.694 0.299 Mg
0.800 0.099 0.401 Mg
0.801 0.601 0.401 Mg
0.861 0.240 0.122 Mg
0.069 0.657 0.731 Fe
0.102 0.203 0.801 Fe
0.135 0.752 0.877 Fe
0.208 0.904 0.101 Fe
0.299 0.074 0.471 Fe
0.300 0.126 0.332 Fe
0.302 0.601 0.401 Fe
0.468 0.450 0.924 Fe
0.508 0.003 0.000 Fe
0.530 0.545 0.073 Fe
0.708 0.936 0.541 Fe
0.717 0.425 0.610 Fe
0.740 0.958 0.678 Fe
0.803 0.101 0.901 Fe
0.887 0.777 0.192 Fe
0.892 0.264 0.264 Fe
0.049 0.076 0.155 O
0.052 0.617 0.648 O
0.054 0.617 0.152 O
0.065 0.111 0.647 O
0.120 0.736 0.446 O
0.133 0.291 0.950 O
0.161 0.806 0.955 O
0.163 0.303 0.450 O
0.243 0.493 0.253 O
0.244 0.996 0.257 O
0.249 0.488 0.753 O
0.252 0.017 0.753 O
0.343 0.179 0.051 O
0.346 0.712 0.051 O
0.356 0.705 0.549 O
0.359 0.208 0.547 O
0.438 0.897 0.352 O
0.441 0.395 0.847 O
0.472 0.911 0.851 O
0.481 0.465 0.356 O
0.516 0.077 0.153 O
0.547 0.581 0.153 O
0.550 0.592 0.649 O
0.555 0.115 0.646 O
0.641 0.799 0.453 O
0.646 0.301 0.451 O
0.654 0.288 0.951 O
0.656 0.816 0.951 O
0.717 0.926 0.245 O
0.733 0.493 0.752 O
0.757 0.007 0.755 O
0.759 0.492 0.253 O
0.836 0.188 0.043 O
0.843 0.706 0.549 O
0.872 0.711 0.052 O
0.886 0.277 0.557 O
0.945 0.382 0.851 O
0.947 0.914 0.850 O
0.954 0.899 0.351 O
0.960 0.401 0.349 O
```


Below is MgFe2O4 after structural relaxation, with properties calculated at the GGA+U level.

Results
**Calculated formation energy**: -46.07 kcal/mol of atoms
**Space-group type**: No. 57
**Relative energy among the computed polymorphs**: 0.103 eV per atom
**Total energy after the MP2020 corrections**: -7.474 eV/atom

```
MgFe2O4
1.0
2.927 0.000 0.000
0.000 9.730 0.000
0.000 0.000 9.918
Mg Fe O
4 8 16
direct
0.224 0.139 0.250 Mg
0.224 0.361 0.750 Mg
0.776 0.639 0.250 Mg
0.776 0.861 0.750 Mg
0.259 0.617 0.574 Fe
0.259 0.617 0.926 Fe
0.259 0.883 0.074 Fe
0.259 0.883 0.426 Fe
0.741 0.117 0.574 Fe
0.741 0.117 0.926 Fe
0.741 0.383 0.074 Fe
0.741 0.383 0.426 Fe
0.241 0.250 0.000 O
0.241 0.250 0.500 O
0.245 0.522 0.115 O
0.245 0.522 0.385 O
0.245 0.978 0.615 O
0.245 0.978 0.885 O
0.273 0.713 0.750 O
0.273 0.787 0.250 O
0.727 0.213 0.750 O
0.727 0.287 0.250 O
0.755 0.022 0.115 O
0.755 0.022 0.385 O
0.755 0.478 0.615 O
0.755 0.478 0.885 O
0.759 0.750 0.000 O
0.759 0.750 0.500 O
```


Below is MgFe4O6 after structural relaxation, with properties calculated at the GGA+U level.

Results
**Calculated formation energy**: -40.50 kcal/mol of atoms
**Space-group type**: No. 148
**Relative energy among the computed polymorphs**: 0.026 eV per atom
**Total energy after the MP2020 corrections**: -7.680 eV/atom

```
MgFe4O6
1.0
2.609 1.506 5.025
-2.609 1.506 5.025
0.000 -3.013 5.025
Mg Fe O
1 4 6
direct
0.000 0.000 0.000 Mg
0.172 0.172 0.172 Fe
0.355 0.355 0.355 Fe
0.645 0.645 0.645 Fe
0.828 0.828 0.828 Fe
0.059 0.752 0.416 O
0.248 0.584 0.941 O
0.416 0.059 0.752 O
0.584 0.941 0.248 O
0.752 0.416 0.059 O
0.941 0.248 0.584 O
```


Below is MgFeO3 after structural relaxation, with properties calculated at the GGA+U level.

Results
**Calculated formation energy**: -46.48 kcal/mol of atoms
**Total energy after the MP2020 corrections**: -6.998 eV/atom

```
MgFeO3
1.0
-1.605 2.802 -3.924
0.164 4.496 3.119
7.094 1.801 -1.637
Mg Fe O
4 4 12
direct
0.999 0.283 0.141 Mg
0.499 0.783 0.641 Mg
0.001 0.716 0.859 Mg
0.501 0.216 0.359 Mg
0.500 0.190 0.846 Fe
0.999 0.302 0.651 Fe
0.000 0.689 0.346 Fe
0.499 0.802 0.151 Fe
0.872 0.658 0.584 O
0.372 0.158 0.084 O
0.654 0.155 0.611 O
0.154 0.655 0.111 O
0.205 0.013 0.750 O
0.705 0.513 0.250 O
0.808 0.977 0.263 O
0.308 0.477 0.763 O
0.322 0.849 0.393 O
0.822 0.349 0.893 O
0.139 0.358 0.403 O
0.639 0.858 0.903 O
```


Below is MgFe8O16 after structural relaxation, with properties calculated at the GGA+U level.

Results
**Calculated formation energy**: -31.94 kcal/mol of atoms
**Space-group type**: No. 10
**Total energy after the MP2020 corrections**: -7.326 eV/atom

```
MgFe8O16
1.0
10.578 0.000 0.000
0.000 2.952 0.000
-0.117 0.000 10.690
Mg Fe O
1 8 16
direct
0.000 0.000 0.000 Mg
0.179 0.500 0.829 Fe
0.188 0.000 0.162 Fe
0.336 0.500 0.358 Fe
0.358 0.000 0.660 Fe
0.642 0.000 0.340 Fe
0.664 0.500 0.642 Fe
0.812 0.000 0.838 Fe
0.821 0.500 0.171 Fe
0.049 0.500 0.133 O
0.167 0.000 0.713 O
0.182 0.000 0.951 O
0.216 0.000 0.351 O
0.305 0.500 0.171 O
0.339 0.500 0.544 O
0.363 0.500 0.778 O
0.455 0.000 0.353 O
0.545 0.000 0.647 O
0.637 0.500 0.222 O
0.661 0.500 0.456 O
0.695 0.500 0.829 O
0.784 0.000 0.649 O
0.818 0.000 0.049 O
0.833 0.000 0.287 O
0.951 0.500 0.867 O
```


Below is Mg3FeO4 after structural relaxation, with properties calculated at the GGA+U level.

Results
**Calculated formation energy**: -57.61 kcal/mol of atoms
**Space-group type**: No. 221
**Total energy after the MP2020 corrections**: -6.631 eV/atom

```
Mg3FeO4
1.0
4.281 0.000 0.000
0.000 4.281 0.000
0.000 0.000 4.281
Mg Fe O
3 1 4
direct
0.000 0.000 0.500 Mg
0.000 0.500 0.000 Mg
0.500 0.000 0.000 Mg
0.500 0.500 0.500 Fe
0.000 0.000 0.000 O
0.000 0.500 0.500 O
0.500 0.000 0.500 O
0.500 0.500 0.000 O
```


Below is MgFe2O4 after structural relaxation, with properties calculated at the GGA+U level.

Results
**Calculated formation energy**: -47.42 kcal/mol of atoms
**Space-group type**: No. 1
**Relative energy among the computed polymorphs**: 0.045 eV per atom
**Total energy after the MP2020 corrections**: -7.532 eV/atom

```
MgFe2O4
1.0
5.988 0.000 0.000
2.977 5.210 0.000
0.018 0.106 14.641
Mg Fe O
6 12 24
direct
0.000 0.000 0.000 Mg
0.002 0.007 0.626 Mg
0.171 0.170 0.793 Mg
0.503 0.502 0.125 Mg
0.674 0.667 0.291 Mg
0.838 0.837 0.459 Mg
0.008 0.502 0.125 Fe
0.010 0.006 0.248 Fe
0.170 0.675 0.794 Fe
0.336 0.330 0.338 Fe
0.337 0.837 0.459 Fe
0.338 0.336 0.962 Fe
0.340 0.344 0.582 Fe
0.502 0.007 0.125 Fe
0.666 0.668 0.669 Fe
0.674 0.170 0.793 Fe
0.675 0.675 0.919 Fe
0.838 0.337 0.459 Fe
0.001 0.998 0.864 O
0.016 0.995 0.380 O
0.032 0.493 0.877 O
0.158 0.169 0.537 O
0.165 0.691 0.540 O
0.182 0.634 0.042 O
0.185 0.185 0.044 O
0.320 0.843 0.714 O
0.336 0.335 0.206 O
0.342 0.340 0.716 O
0.355 0.834 0.204 O
0.497 0.491 0.877 O
0.498 0.027 0.878 O
0.512 0.982 0.378 O
0.518 0.505 0.381 O
0.635 0.182 0.043 O
0.661 0.680 0.538 O
0.672 0.674 0.049 O
0.688 0.175 0.537 O
0.835 0.830 0.203 O
0.837 0.325 0.714 O
0.838 0.352 0.204 O
0.839 0.846 0.714 O
0.987 0.499 0.381 O
```


Below is MgFe2O4 after structural relaxation, with properties calculated at the GGA+U level.

Results
**Calculated formation energy**: -47.66 kcal/mol of atoms
**Space-group type**: No. 160
**Relative energy among the computed polymorphs**: 0.034 eV per atom
**Total energy after the MP2020 corrections**: -7.543 eV/atom

```
MgFe2O4
1.0
3.020 1.744 4.932
-3.020 1.744 4.932
0.000 -3.487 4.932
Mg Fe O
2 4 8
direct
0.000 0.000 0.000 Mg
0.377 0.377 0.377 Mg
0.376 0.376 0.887 Fe
0.376 0.887 0.376 Fe
0.758 0.758 0.758 Fe
0.887 0.376 0.376 Fe
0.134 0.134 0.598 O
0.134 0.598 0.134 O
0.136 0.136 0.136 O
0.150 0.624 0.624 O
0.598 0.134 0.134 O
0.623 0.623 0.623 O
0.624 0.150 0.624 O
0.624 0.624 0.150 O
```


Below is MgFe2O4 after structural relaxation, with properties calculated at the GGA+U level.

Results
**Calculated formation energy**: -46.09 kcal/mol of atoms
**Space-group type**: No. 63
**Relative energy among the computed polymorphs**: 0.102 eV per atom
**Total energy after the MP2020 corrections**: -7.475 eV/atom

```
MgFe2O4
1.0
1.466 -4.876 0.000
1.466 4.876 0.000
0.000 0.000 9.965
Mg Fe O
2 4 8
direct
0.113 0.887 0.750 Mg
0.887 0.113 0.250 Mg
0.368 0.632 0.575 Fe
0.368 0.632 0.925 Fe
0.632 0.368 0.075 Fe
0.632 0.368 0.425 Fe
0.000 0.000 0.000 O
0.000 0.000 0.500 O
0.272 0.728 0.115 O
0.272 0.728 0.385 O
0.464 0.536 0.750 O
0.536 0.464 0.250 O
0.728 0.272 0.615 O
0.728 0.272 0.885 O
```


Below is MgFe2O3 after structural relaxation, with properties calculated at the GGA+U level.

Results
**Calculated formation energy**: -45.80 kcal/mol of atoms
**Total energy after the MP2020 corrections**: -7.550 eV/atom

```
MgFe2O3
1.0
1.976 3.109 -2.051
1.520 -2.327 -6.396
-3.897 1.505 -1.474
Mg Fe O
2 4 6
direct
0.000 0.000 0.000 Mg
0.500 0.000 0.500 Mg
0.834 0.332 0.500 Fe
0.666 0.668 0.000 Fe
0.334 0.332 0.000 Fe
0.166 0.668 0.500 Fe
0.500 0.000 0.000 O
0.000 0.000 0.500 O
0.837 0.326 0.000 O
0.337 0.326 0.500 O
0.163 0.674 0.000 O
0.663 0.674 0.500 O
```


Below is MgFe2O4 after structural relaxation, with properties calculated at the GGA+U level.

Results
**Calculated formation energy**: -46.43 kcal/mol of atoms
**Space-group type**: No. 12
**Relative energy among the computed polymorphs**: 0.088 eV per atom
**Total energy after the MP2020 corrections**: -7.489 eV/atom

```
MgFe2O4
1.0
5.353 -1.692 0.000
5.353 1.692 0.000
-1.356 0.000 4.881
Mg Fe O
1 2 4
direct
0.000 0.000 0.000 Mg
0.365 0.365 0.500 Fe
0.635 0.635 0.500 Fe
0.169 0.169 0.329 O
0.454 0.454 0.223 O
0.546 0.546 0.777 O
0.831 0.831 0.671 O
```


Below is MgFe4O6 after structural relaxation, with properties calculated at the GGA+U level.

Results
**Calculated formation energy**: -40.29 kcal/mol of atoms
**Space-group type**: No. 146
**Relative energy among the computed polymorphs**: 0.035 eV per atom
**Total energy after the MP2020 corrections**: -7.671 eV/atom

```
MgFe4O6
1.0
2.671 1.542 4.928
-2.671 1.542 4.928
0.000 -3.084 4.928
Mg Fe O
1 4 6
direct
0.000 0.000 0.000 Mg
0.226 0.226 0.226 Fe
0.410 0.410 0.410 Fe
0.591 0.591 0.591 Fe
0.776 0.776 0.776 Fe
0.001 0.366 0.635 O
0.204 0.798 0.501 O
0.366 0.635 0.001 O
0.501 0.204 0.798 O
0.635 0.001 0.366 O
0.798 0.501 0.204 O
```